Record 1
An optimized crystal structure of DyMg2, computed with PBE-GGA.

The space group is Fd-3m (No. 227, origin choice 2) and the conventional cell measures 8.528, 8.528 and 8.528 Å, with angles of 90.00, 90.00 and 90.00 degrees. The distinct sites, in fractional coordinates, are Dy at (0.125, 0.125, 0.125) and Mg at (0.000, 0.000, 0.500).

=====

Record 2
An optimized crystal structure of Ti2N2O, computed with PBE-GGA.

For the total moment, the calculation gives 0.00 μB/cell.

The space group is C2/m (No. 12) and the conventional cell measures 9.901, 2.991 and 15.721 Å, with angles of 90.00, 103.99 and 90.00 degrees. The distinct sites, in fractional coordinates, are Ti at (0.001, 0.000, 0.332), Ti at (0.230, 0.000, 0.576), Ti at (0.233, 0.000, 0.242), Ti at (0.237, 0.000, 0.914), N at (0.119, 0.500, 0.629), N at (0.121, 0.500, 0.294), N at (0.148, 0.000, 0.449), N at (0.148, 0.000, 0.785), O at (0.147, 0.500, 0.956) and O at (0.148, 0.000, 0.121).

=====

| no. | DFT formation energy (eV per atom) | E_tot (Ry/atom) |
| --- | --- | --- |
| 1 | -0.063 | -0.1959 |
| 2 | -1.968 | -0.6845 |